[1]
A plane-wave DFT calculation with PBE was carried out for a geometry-optimized U2AsP structure. Values from VASP.

Quantum ESPRESSO input file:
```
&SYSTEM
  ibrav = 0, nat = 4, ntyp = 3
/
ATOMIC_SPECIES
U 238.03 U.upf
As 74.92 As.upf
P 30.97 P.upf
ATOMIC_POSITIONS crystal
U 0.000 0.000 0.500
U 0.500 0.500 0.000
As 0.500 0.500 0.500
P 0.000 0.000 0.000
CELL_PARAMETERS angstrom
-0.773 3.860 -0.811
-3.401 -1.071 -1.856
-2.826 0.466 4.909
```

Summary:
- Symmetry: P4/mmm
- Energy relative to the elements: -0.82 eV per atom

***

[2]
A plane-wave DFT calculation with PBE was carried out for a geometry-optimized AsPb3 structure. Values from VASP.

Quantum ESPRESSO input file:
```
&SYSTEM
  ibrav = 0, nat = 8, ntyp = 2
/
ATOMIC_SPECIES
As 74.92 As.upf
Pb 207.20 Pb.upf
ATOMIC_POSITIONS crystal
As 0.333 0.667 0.750
As 0.667 0.333 0.250
Pb 0.174 0.348 0.250
Pb 0.652 0.826 0.250
Pb 0.174 0.826 0.250
Pb 0.826 0.652 0.750
Pb 0.348 0.174 0.750
Pb 0.826 0.174 0.750
CELL_PARAMETERS angstrom
3.528 -6.110 0.000
3.528 6.110 0.000
0.000 0.000 5.342
```

Summary:
- Symmetry: P6_3/mmc
- Energy relative to the elements: 0.14 eV per atom

***

[3]
A plane-wave DFT calculation with PBE was carried out for a geometry-optimized As3Pd4Pb structure. Values from VASP.

Quantum ESPRESSO input file:
```
&SYSTEM
  ibrav = 0, nat = 8, ntyp = 3
/
ATOMIC_SPECIES
As 74.92 As.upf
Pd 106.42 Pd.upf
Pb 207.20 Pb.upf
ATOMIC_POSITIONS crystal
As 0.375 0.750 0.941
As 0.166 0.333 0.503
As 0.584 0.167 0.085
Pd 0.751 0.503 0.178
Pd 0.219 0.438 0.846
Pd 0.531 0.062 0.534
Pd 0.998 0.997 0.931
Pb 0.876 0.750 0.482
CELL_PARAMETERS angstrom
-1.968 -3.409 0.000
3.702 0.135 -6.092
5.436 -3.139 0.000
```

Summary:
- Symmetry: Imm2
- Energy relative to the elements: -0.34 eV per atom

***

[4]
A plane-wave DFT calculation with PBE was carried out for a geometry-optimized As9Pb7S20 structure. Values from VASP.

Quantum ESPRESSO input file:
```
&SYSTEM
  ibrav = 0, nat = 72, ntyp = 3
/
ATOMIC_SPECIES
As 74.92 As.upf
Pb 207.20 Pb.upf
S 32.06 S.upf
ATOMIC_POSITIONS crystal
As 0.266 0.622 0.121
As 0.766 0.378 0.879
As 0.158 0.263 0.623
As 0.658 0.737 0.377
As 0.275 0.272 0.402
As 0.775 0.728 0.598
As 0.152 0.887 0.923
As 0.652 0.113 0.077
As 0.137 0.882 0.355
As 0.637 0.118 0.645
As 0.053 0.567 0.395
As 0.553 0.433 0.605
As 0.044 0.554 0.870
As 0.544 0.446 0.130
As 0.364 0.928 0.627
As 0.864 0.072 0.373
As 0.356 0.934 0.174
As 0.856 0.066 0.826
Pb 0.240 0.650 0.646
Pb 0.740 0.350 0.354
Pb 0.628 0.715 0.881
Pb 0.128 0.285 0.119
Pb 0.273 0.184 0.877
Pb 0.773 0.816 0.123
Pb 0.416 0.538 0.379
Pb 0.916 0.462 0.621
Pb 0.414 0.558 0.885
Pb 0.914 0.442 0.115
Pb 0.507 0.053 0.375
Pb 0.007 0.947 0.625
Pb 0.501 0.055 0.874
Pb 0.001 0.945 0.126
S 0.023 0.406 0.650
S 0.523 0.594 0.350
S 0.082 0.092 0.362
S 0.582 0.908 0.638
S 0.307 0.760 0.325
S 0.807 0.240 0.675
S 0.315 0.415 0.596
S 0.815 0.585 0.404
S 0.384 0.081 0.396
S 0.884 0.919 0.604
S 0.435 0.764 0.625
S 0.935 0.236 0.375
S 0.479 0.291 0.624
S 0.979 0.709 0.376
S 0.099 0.734 0.569
S 0.599 0.266 0.431
S 0.098 0.727 0.163
S 0.312 0.389 0.156
S 0.598 0.273 0.837
S 0.520 0.612 0.926
S 0.093 0.074 0.862
S 0.593 0.926 0.138
S 0.201 0.026 0.096
S 0.701 0.974 0.904
S 0.215 0.062 0.614
S 0.715 0.938 0.386
S 0.192 0.418 0.831
S 0.692 0.582 0.169
S 0.199 0.419 0.391
S 0.699 0.581 0.609
S 0.307 0.728 0.908
S 0.807 0.272 0.092
S 0.974 0.724 0.872
S 0.474 0.276 0.128
S 0.928 0.213 0.862
S 0.428 0.787 0.138
S 0.888 0.906 0.183
S 0.388 0.094 0.817
S 0.812 0.611 0.844
S 0.020 0.388 0.074
CELL_PARAMETERS angstrom
-19.040 11.699 13.248
2.723 -3.559 7.057
5.028 6.592 1.406
```

Summary:
- Symmetry: P2_1
- Energy relative to the elements: -0.54 eV per atom

***

[5]
A plane-wave DFT calculation with PBE was carried out for a geometry-optimized As5Pb3S10 structure. Values from VASP.

Quantum ESPRESSO input file:
```
&SYSTEM
  ibrav = 0, nat = 72, ntyp = 3
/
ATOMIC_SPECIES
As 74.92 As.upf
Pb 207.20 Pb.upf
S 32.06 S.upf
ATOMIC_POSITIONS crystal
As 0.651 0.265 0.592
As 0.500 0.007 0.321
As 0.191 0.500 0.812
As 0.713 0.082 0.183
As 0.843 0.947 0.906
As 0.006 0.242 0.177
As 0.000 0.993 0.679
As 0.506 0.758 0.823
As 0.843 0.476 0.905
As 0.151 0.735 0.408
As 0.662 0.815 0.598
As 0.299 0.297 0.690
As 0.213 0.918 0.817
As 0.782 0.183 0.318
As 0.162 0.185 0.402
As 0.343 0.053 0.094
As 0.343 0.524 0.095
As 0.799 0.703 0.310
As 0.282 0.817 0.682
As 0.691 0.500 0.188
Pb 0.552 0.247 0.827
Pb 0.942 0.495 0.671
Pb 0.753 0.995 0.463
Pb 0.052 0.753 0.173
Pb 0.280 0.526 0.540
Pb 0.442 0.505 0.329
Pb 0.738 0.257 0.038
Pb 0.231 0.234 0.962
Pb 0.238 0.743 0.962
Pb 0.780 0.474 0.460
Pb 0.253 0.005 0.537
Pb 0.731 0.766 0.038
S 0.618 0.275 0.378
S 0.672 0.764 0.938
S 0.534 0.224 0.133
S 0.958 0.565 0.361
S 0.422 0.840 0.262
S 0.322 0.995 0.435
S 0.034 0.335 0.855
S 0.034 0.776 0.867
S 0.922 0.160 0.738
S 0.534 0.665 0.145
S 0.494 0.262 0.521
S 0.868 0.975 0.124
S 0.007 0.230 0.473
S 0.766 0.040 0.787
S 0.822 0.005 0.565
S 0.266 0.960 0.213
S 0.120 0.186 0.634
S 0.179 0.726 0.075
S 0.458 0.435 0.639
S 0.502 0.515 0.024
S 0.172 0.236 0.062
S 0.089 0.412 0.235
S 0.368 0.025 0.876
S 0.964 0.030 0.363
S 0.997 0.986 0.977
S 0.749 0.706 0.718
S 0.507 0.770 0.527
S 0.249 0.294 0.282
S 0.464 0.970 0.637
S 0.330 0.545 0.430
S 0.589 0.588 0.765
S 0.497 0.014 0.023
S 0.118 0.725 0.622
S 0.994 0.738 0.479
S 0.002 0.485 0.976
S 0.620 0.814 0.366
S 0.892 0.433 0.130
S 0.679 0.274 0.925
S 0.392 0.567 0.870
S 0.830 0.455 0.570
CELL_PARAMETERS angstrom
7.705 0.000 0.000
0.000 9.096 0.000
0.000 1.184 27.140
```

Summary:
- E above lowest polymorph: 95 meV/atom
- Symmetry: P2_1
- Energy relative to the elements: -0.42 eV per atom

***

[6]
A plane-wave DFT calculation with PBE was carried out for a geometry-optimized As5Pb3S10 structure. Values from VASP.

Quantum ESPRESSO input file:
```
&SYSTEM
  ibrav = 0, nat = 72, ntyp = 3
/
ATOMIC_SPECIES
As 74.92 As.upf
Pb 207.20 Pb.upf
S 32.06 S.upf
ATOMIC_POSITIONS crystal
As 0.153 0.185 0.593
As 0.989 0.018 0.321
As 0.654 0.554 0.819
As 0.173 0.888 0.180
As 0.348 0.015 0.909
As 0.507 0.251 0.192
As 0.489 0.982 0.679
As 0.007 0.749 0.808
As 0.346 0.565 0.912
As 0.653 0.815 0.407
As 0.152 0.735 0.587
As 0.862 0.200 0.681
As 0.673 0.112 0.820
As 0.241 0.183 0.304
As 0.652 0.265 0.413
As 0.848 0.985 0.091
As 0.846 0.435 0.088
As 0.362 0.800 0.319
As 0.741 0.817 0.696
As 0.154 0.446 0.181
Pb 0.055 0.246 0.832
Pb 0.415 0.477 0.665
Pb 0.268 0.007 0.457
Pb 0.555 0.754 0.168
Pb 0.796 0.481 0.551
Pb 0.915 0.523 0.335
Pb 0.237 0.242 0.043
Pb 0.721 0.255 0.955
Pb 0.737 0.758 0.957
Pb 0.296 0.519 0.449
Pb 0.768 0.993 0.543
Pb 0.221 0.745 0.045
S 0.142 0.288 0.371
S 0.194 0.779 0.934
S 0.022 0.266 0.136
S 0.476 0.583 0.358
S 0.901 0.849 0.262
S 0.800 0.034 0.436
S 0.541 0.312 0.856
S 0.522 0.734 0.864
S 0.401 0.151 0.738
S 0.041 0.688 0.144
S 0.011 0.239 0.522
S 0.348 0.973 0.118
S 0.485 0.250 0.480
S 0.175 0.075 0.753
S 0.300 0.966 0.564
S 0.675 0.925 0.247
S 0.622 0.203 0.635
S 0.694 0.789 0.069
S 0.976 0.417 0.642
S 0.993 0.496 0.018
S 0.694 0.221 0.066
S 0.631 0.425 0.239
S 0.848 0.027 0.882
S 0.478 0.998 0.362
S 0.508 0.996 0.977
S 0.359 0.661 0.748
S 0.985 0.750 0.520
S 0.859 0.339 0.252
S 0.978 0.002 0.638
S 0.812 0.457 0.436
S 0.131 0.575 0.761
S 0.008 0.004 0.023
S 0.642 0.712 0.629
S 0.511 0.761 0.478
S 0.493 0.504 0.982
S 0.122 0.797 0.365
S 0.391 0.441 0.136
S 0.194 0.211 0.931
S 0.891 0.559 0.864
S 0.312 0.543 0.564
CELL_PARAMETERS angstrom
-1.814 8.198 -0.969
-2.305 -1.451 -7.961
-25.985 -5.078 5.696
```

Summary:
- E above lowest polymorph: 102 meV/atom
- Symmetry: P2_1
- Energy relative to the elements: -0.41 eV per atom

***

[7]
A plane-wave DFT calculation with PBE was carried out for a geometry-optimized As5Pb3S10 structure. Values from VASP.

Quantum ESPRESSO input file:
```
&SYSTEM
  ibrav = 0, nat = 72, ntyp = 3
/
ATOMIC_SPECIES
As 74.92 As.upf
Pb 207.20 Pb.upf
S 32.06 S.upf
ATOMIC_POSITIONS crystal
As 0.153 0.508 0.902
As 0.144 0.064 0.903
As 0.442 0.285 0.817
As 0.831 0.616 0.811
As 0.819 0.997 0.826
As 0.673 0.634 0.690
As 0.681 0.260 0.674
As 0.055 0.962 0.685
As 0.352 0.747 0.595
As 0.352 0.185 0.598
As 0.852 0.815 0.402
As 0.852 0.253 0.405
As 0.555 0.038 0.315
As 0.181 0.740 0.326
As 0.173 0.366 0.310
As 0.319 0.003 0.174
As 0.331 0.384 0.189
As 0.942 0.715 0.183
As 0.644 0.936 0.097
As 0.653 0.492 0.098
Pb 0.792 0.760 0.955
Pb 0.788 0.264 0.960
Pb 0.487 0.736 0.829
Pb 0.019 0.515 0.669
Pb 0.700 0.485 0.542
Pb 0.717 0.992 0.545
Pb 0.200 0.515 0.458
Pb 0.217 0.008 0.455
Pb 0.519 0.485 0.331
Pb 0.987 0.264 0.171
Pb 0.288 0.736 0.040
Pb 0.292 0.240 0.045
S 0.014 0.497 0.977
S 0.021 0.026 0.981
S 0.310 0.278 0.919
S 0.312 0.697 0.925
S 0.633 0.992 0.886
S 0.677 0.525 0.877
S 0.967 0.212 0.858
S 0.974 0.800 0.855
S 0.332 0.077 0.775
S 0.328 0.474 0.780
S 0.175 0.773 0.720
S 0.160 0.167 0.729
S 0.524 0.455 0.645
S 0.532 0.038 0.643
S 0.826 0.727 0.624
S 0.866 0.256 0.614
S 0.191 0.559 0.573
S 0.192 0.972 0.578
S 0.495 0.755 0.520
S 0.476 0.228 0.521
S 0.976 0.772 0.479
S 0.995 0.245 0.480
S 0.692 0.028 0.422
S 0.691 0.441 0.427
S 0.366 0.744 0.386
S 0.326 0.273 0.376
S 0.032 0.962 0.357
S 0.024 0.545 0.355
S 0.660 0.833 0.271
S 0.675 0.227 0.280
S 0.828 0.526 0.220
S 0.832 0.923 0.225
S 0.474 0.200 0.145
S 0.467 0.788 0.142
S 0.177 0.475 0.123
S 0.133 0.008 0.114
S 0.812 0.303 0.075
S 0.810 0.722 0.081
S 0.514 0.503 0.023
S 0.521 0.974 0.019
CELL_PARAMETERS angstrom
8.750 0.000 0.000
0.000 8.608 0.000
0.000 0.511 25.586
```

Summary:
- E above lowest polymorph: 50 meV/atom
- Symmetry: P2_1
- Energy relative to the elements: -0.46 eV per atom

***

[8]
A plane-wave DFT calculation with PBE was carried out for a geometry-optimized As4Pb9S15 structure. Values from VASP.

Quantum ESPRESSO input file:
```
&SYSTEM
  ibrav = 0, nat = 28, ntyp = 3
/
ATOMIC_SPECIES
As 74.92 As.upf
Pb 207.20 Pb.upf
S 32.06 S.upf
ATOMIC_POSITIONS crystal
As 0.433 0.374 0.000
As 0.059 0.626 0.626
As 0.433 0.000 0.374
As 0.948 0.000 0.000
Pb 0.730 0.767 0.523
Pb 0.963 0.756 0.233
Pb 0.207 0.477 0.244
Pb 0.207 0.244 0.477
Pb 0.963 0.233 0.756
Pb 0.730 0.523 0.767
Pb 0.391 0.692 0.000
Pb 0.699 0.308 0.308
Pb 0.391 0.000 0.692
S 0.616 0.613 0.192
S 0.003 0.578 0.387
S 0.424 0.808 0.422
S 0.424 0.422 0.808
S 0.003 0.387 0.578
S 0.616 0.192 0.613
S 0.765 0.805 0.000
S 0.960 0.195 0.195
S 0.765 0.000 0.805
S 0.586 0.244 0.000
S 0.343 0.756 0.756
S 0.586 0.000 0.244
S 0.060 0.510 0.000
S 0.550 0.490 0.490
S 0.060 0.000 0.510
CELL_PARAMETERS angstrom
0.000 0.000 8.803
9.053 5.227 -2.934
-9.053 5.227 -2.934
```

Summary:
- E above lowest polymorph: 84 meV/atom
- Symmetry: R3m
- Energy relative to the elements: -0.57 eV per atom

***

The lowest energy relative to the elements belongs to which entry? U2AsP

***

Repeat the sixth record exactly.
A plane-wave DFT calculation with PBE was carried out for a geometry-optimized As5Pb3S10 structure. Values from VASP.

Quantum ESPRESSO input file:
```
&SYSTEM
  ibrav = 0, nat = 72, ntyp = 3
/
ATOMIC_SPECIES
As 74.92 As.upf
Pb 207.20 Pb.upf
S 32.06 S.upf
ATOMIC_POSITIONS crystal
As 0.153 0.185 0.593
As 0.989 0.018 0.321
As 0.654 0.554 0.819
As 0.173 0.888 0.180
As 0.348 0.015 0.909
As 0.507 0.251 0.192
As 0.489 0.982 0.679
As 0.007 0.749 0.808
As 0.346 0.565 0.912
As 0.653 0.815 0.407
As 0.152 0.735 0.587
As 0.862 0.200 0.681
As 0.673 0.112 0.820
As 0.241 0.183 0.304
As 0.652 0.265 0.413
As 0.848 0.985 0.091
As 0.846 0.435 0.088
As 0.362 0.800 0.319
As 0.741 0.817 0.696
As 0.154 0.446 0.181
Pb 0.055 0.246 0.832
Pb 0.415 0.477 0.665
Pb 0.268 0.007 0.457
Pb 0.555 0.754 0.168
Pb 0.796 0.481 0.551
Pb 0.915 0.523 0.335
Pb 0.237 0.242 0.043
Pb 0.721 0.255 0.955
Pb 0.737 0.758 0.957
Pb 0.296 0.519 0.449
Pb 0.768 0.993 0.543
Pb 0.221 0.745 0.045
S 0.142 0.288 0.371
S 0.194 0.779 0.934
S 0.022 0.266 0.136
S 0.476 0.583 0.358
S 0.901 0.849 0.262
S 0.800 0.034 0.436
S 0.541 0.312 0.856
S 0.522 0.734 0.864
S 0.401 0.151 0.738
S 0.041 0.688 0.144
S 0.011 0.239 0.522
S 0.348 0.973 0.118
S 0.485 0.250 0.480
S 0.175 0.075 0.753
S 0.300 0.966 0.564
S 0.675 0.925 0.247
S 0.622 0.203 0.635
S 0.694 0.789 0.069
S 0.976 0.417 0.642
S 0.993 0.496 0.018
S 0.694 0.221 0.066
S 0.631 0.425 0.239
S 0.848 0.027 0.882
S 0.478 0.998 0.362
S 0.508 0.996 0.977
S 0.359 0.661 0.748
S 0.985 0.750 0.520
S 0.859 0.339 0.252
S 0.978 0.002 0.638
S 0.812 0.457 0.436
S 0.131 0.575 0.761
S 0.008 0.004 0.023
S 0.642 0.712 0.629
S 0.511 0.761 0.478
S 0.493 0.504 0.982
S 0.122 0.797 0.365
S 0.391 0.441 0.136
S 0.194 0.211 0.931
S 0.891 0.559 0.864
S 0.312 0.543 0.564
CELL_PARAMETERS angstrom
-1.814 8.198 -0.969
-2.305 -1.451 -7.961
-25.985 -5.078 5.696
```

Summary:
- E above lowest polymorph: 102 meV/atom
- Symmetry: P2_1
- Energy relative to the elements: -0.41 eV per atom

***

Which of these has the lowest energy relative to the elements? U2AsP